A relaxed structure of LaHo3S6. Source: the Materials Project, functional GGA-PBE.

abc: 11.1396 4.0135 11.3505
angles: 90.00 108.98 90.00
Fractional coordinates of all 20 atoms:
La 0.0506 0.2500 0.1949
La 0.9494 0.7500 0.8051
Ho 0.1610 0.2500 0.5873
Ho 0.3210 0.7500 0.0001
Ho 0.4438 0.2500 0.3340
Ho 0.5562 0.7500 0.6660
Ho 0.6790 0.2500 0.9999
Ho 0.8390 0.7500 0.4127
S 0.0810 0.7500 0.4066
S 0.1203 0.2500 0.9633
S 0.1970 0.7500 0.7486
S 0.2689 0.7500 0.2306
S 0.3927 0.2500 0.5574
S 0.4787 0.2500 0.1115
S 0.5213 0.7500 0.8885
S 0.6073 0.7500 0.4426
S 0.7311 0.2500 0.7694
S 0.8030 0.2500 0.2514
S 0.8797 0.7500 0.0367
S 0.9190 0.2500 0.5934

Energy of formation, eV per atom: -2.42